(1)
## CuCl2 (PBE)

Data for a relaxed structure of CuCl2.

Values from the calculation:
Its spin magnetization is 0.08 μB per cell. For the total energy, the calculation gives -8.693 eV/cell. As for the crystal system: tetragonal.

a b c (Å): 7.5649 7.5649 7.5649
angles (deg): 145.32 145.32 49.86
Closest atoms and distances in Å follow each position.
Positions (direct):
Cu (0.0000, 0.0000, 0.0000)  4 Cl 2.25
Cl (0.0000, 0.5000, 0.5000)  2 Cu 2.25
Cl (0.5000, 0.0000, 0.5000)  2 Cu 2.25

(2)
## Mg6AlNi (PBE)

Data for a relaxed structure of Mg6AlNi.

Values from the calculation:
Its spin magnetization is 0.00 μB per cell. The distance to the lowest polymorph of the same formula is 8 kJ/mol of formula units.

a b c (Å): 4.8590 6.0409 10.4678
angles (deg): 90.00 90.00 90.00
Closest atoms and distances in Å follow each position.
Positions (direct):
Mg (0.5000, 0.0000, 0.8257)  10 Mg 2.89-3.16, 2 Ni 2.94
Mg (0.5000, 0.2581, 0.0877)  8 Mg 2.89-3.16, 2 Ni 2.95, 2 Al 3.01
Mg (0.5000, 0.7581, 0.5877)  8 Mg 2.89-3.16, 2 Ni 2.95, 2 Al 3.01
Mg (0.0000, 0.2500, 0.9162)  8 Mg 3.00-3.02, 2 Al 3.00-3.04, 2 Ni 3.01-3.03
Mg (0.0000, 0.7500, 0.9162)  8 Mg 3.00-3.02, 2 Al 3.00-3.04, 2 Ni 3.01-3.03
Mg (0.0000, 0.2500, 0.4162)  8 Mg 3.00-3.02, 2 Al 3.00-3.04, 2 Ni 3.01-3.03
Mg (0.0000, 0.7500, 0.4162)  8 Mg 3.00-3.02, 2 Al 3.00-3.04, 2 Ni 3.01-3.03
Mg (0.5000, 0.0000, 0.3311)  2 Al 2.97, 10 Mg 2.99-3.06
Mg (0.5000, 0.2419, 0.5877)  8 Mg 2.89-3.16, 2 Ni 2.95, 2 Al 3.01
Mg (0.5000, 0.5000, 0.3257)  10 Mg 2.89-3.16, 2 Ni 2.94
Mg (0.5000, 0.5000, 0.8311)  2 Al 2.97, 10 Mg 2.99-3.06
Mg (0.5000, 0.7419, 0.0877)  8 Mg 2.89-3.16, 2 Ni 2.95, 2 Al 3.01
Ni (0.0000, 0.0000, 0.6671)  10 Mg 2.94-3.03, 2 Al 3.02
Ni (0.0000, 0.5000, 0.1671)  10 Mg 2.94-3.03, 2 Al 3.02
Al (0.0000, 0.0000, 0.1684)  10 Mg 2.97-3.04, 2 Ni 3.02
Al (0.0000, 0.5000, 0.6684)  10 Mg 2.97-3.04, 2 Ni 3.02

(3)
## SrCuF4 (PBE)

Data for a relaxed structure of SrCuF4.

Values from the calculation:
For the total energy, the calculation gives -59.806 eV/cell. As for the crystal system: tetragonal.

a b c (Å): 6.7213 6.7213 6.7213
angles (deg): 129.29 129.29 74.54
Closest atoms and distances in Å follow each position.
Positions (direct):
Sr (0.2500, 0.2500, 0.0000)  8 F 2.52
Sr (0.7500, 0.7500, 0.0000)  8 F 2.52
Cu (0.0000, 0.5000, 0.5000)  4 F 1.92
Cu (0.5000, 0.0000, 0.5000)  4 F 1.92
F (0.0442, 0.5442, 0.8381)  1 Cu 1.92
F (0.2061, 0.0442, 0.5000)  1 Cu 1.92
F (0.2939, 0.7939, 0.8381)  1 Cu 1.92
F (0.4558, 0.2939, 0.5000)  1 Cu 1.92
F (0.5442, 0.7061, 0.5000)  1 Cu 1.92
F (0.7061, 0.2061, 0.1619)  1 Cu 1.92
F (0.7939, 0.9558, 0.5000)  1 Cu 1.92
F (0.9558, 0.4558, 0.1619)  1 Cu 1.92